1.
Compound: Na10Zr6Zn2Si7S5O48
Source: the Materials Project
Functional: PBE
Structure: optimized geometry

Lattice parameters (Å, degrees): 9.1533 15.8040 23.0302 90.11 90.07 90.02
Last column: nearest neighbours and their distance in Å.
Atoms (fractional coordinates):
1 Na 0.0000 0.0000 0.0000  6 O 2.50-2.75
2 Na 0.0021 0.2992 0.6674  5 O 2.45-2.68
3 Na 0.0020 0.6607 0.6637  4 O 2.41-2.61
4 Na 0.0390 0.6538 0.3370  5 O 2.45-2.69
5 Na 0.1705 0.4859 0.4182  6 O 2.45-2.74
6 Na 0.1723 0.1516 0.0819  6 O 2.52-2.74
7 Na 0.1742 0.4762 0.9200  6 O 2.56-2.83
8 Na 0.1764 0.8121 0.2518  6 O 2.46-2.75
9 Na 0.1770 0.1390 0.5858  6 O 2.51-2.80
10 Na 0.1897 0.8196 0.7526  5 O 2.44-2.72
11 Na 0.2987 0.6567 0.8310  4 O 2.38-2.60
12 Na 0.3182 0.9843 0.1626  4 O 2.41-2.65
13 Na 0.3486 0.9560 0.8346  5 O 2.42-2.68
14 Na 0.3612 0.6567 0.1619  3 O 2.36-2.59
15 Na 0.4943 0.1569 0.6616  4 O 2.36-2.61
16 Na 0.5009 0.1321 0.9978  4 O 2.43-2.53
17 Na 0.5075 0.4585 0.3302  4 O 2.42-2.64
18 Na 0.5560 0.1560 0.3301  5 O 2.42-2.68
19 Na 0.6723 0.3165 0.2509  6 O 2.56-2.79
20 Na 0.6720 0.6455 0.5811  6 O 2.57-2.75
21 Na 0.6736 0.9786 0.9171  6 O 2.50-2.72
22 Na 0.6764 0.3173 0.7514  6 O 2.51-2.77
23 Na 0.6804 0.6375 0.0861  6 O 2.51-2.81
24 Na 0.6824 0.9747 0.4203  6 O 2.55-2.82
25 Na 0.8201 0.1537 0.8354  5 O 2.45-2.69
26 Na 0.8603 0.7980 0.1683  5 O 2.43-2.67
27 Na 0.8679 0.4616 0.8348  5 O 2.41-2.67
28 Na 0.8756 0.8301 0.8338  4 O 2.36-2.64
29 Na 0.9848 0.3311 0.3342  4 O 2.40-2.59
30 Na 0.9920 0.9604 0.3355  5 O 2.42-2.64
31 Zr 0.1634 0.1517 0.9352  4 O 1.98-2.14
32 Zr 0.1665 0.1448 0.7269  5 O 2.00-2.14
33 Zr 0.1720 0.1509 0.4342  4 O 1.97-2.18
34 Zr 0.1748 0.4783 0.7651  5 O 2.00-2.16
35 Zr 0.1763 0.1533 0.2284  5 O 2.01-2.17
36 Zr 0.1795 0.4872 0.5654  4 O 1.97-2.07
37 Zr 0.1817 0.4826 0.2650  5 O 2.00-2.17
38 Zr 0.1845 0.8170 0.1007  6 O 2.03-2.24
39 Zr 0.1890 0.8138 0.6005  5 O 2.04-2.22
40 Zr 0.6720 0.9836 0.0655  5 O 2.00-2.12
41 Zr 0.6738 0.3164 0.6031  5 O 2.00-2.22
42 Zr 0.6749 0.3132 0.1031  6 O 2.02-2.25
43 Zr 0.6751 0.6495 0.7284  6 O 1.99-2.22
44 Zr 0.6760 0.9821 0.7645  5 O 2.00-2.17
45 Zr 0.6843 0.9795 0.2651  5 O 2.01-2.14
46 Zr 0.6848 0.6503 0.9334  4 O 1.97-2.18
47 Zr 0.6915 0.6431 0.2274  5 O 2.00-2.16
48 Zr 0.6985 0.6536 0.4356  3 O 1.96-2.00
49 Zn 0.1585 0.8094 0.4044  3 O 1.91-2.10
50 Zn 0.1867 0.4909 0.0710  2 O 1.90-1.91
51 Zn 0.1897 0.8189 0.8923  4 O 1.98-2.11
52 Zn 0.6696 0.9895 0.5705  2 O 1.91
53 Zn 0.6779 0.3144 0.3913  6 O 2.03-2.24
54 Zn 0.7032 0.3108 0.9037  3 O 1.93-2.06
55 Si 0.0291 0.2975 0.8309  4 O 1.64-1.66
56 Si 0.0297 0.0004 0.8324  4 O 1.61-1.66
57 Si 0.0329 0.6256 0.1617  4 O 1.58-1.67
58 Si 0.0362 0.6667 0.4976  4 O 1.62-1.68
59 Si 0.3230 0.3360 0.6640  4 O 1.62-1.65
60 Si 0.3258 0.2958 0.3326  4 O 1.61-1.66
61 Si 0.3279 0.6289 0.6669  4 O 1.62-1.65
62 Si 0.3284 0.9612 0.9944  4 O 1.60-1.68
63 Si 0.3852 0.9809 0.6638  4 O 1.60-1.68
64 Si 0.4721 0.4810 0.1640  4 O 1.60-1.68
65 Si 0.5321 0.1303 0.1674  4 O 1.63-1.65
66 Si 0.5327 0.7957 0.8320  4 O 1.61-1.66
67 Si 0.5344 0.8345 0.1652  4 O 1.62-1.65
68 Si 0.8224 0.1685 0.9973  4 O 1.62-1.66
69 Si 0.8248 0.1248 0.6614  4 O 1.58-1.68
70 Si 0.8265 0.5004 0.3331  4 O 1.62-1.65
71 Si 0.8295 0.7973 0.3306  4 O 1.64-1.65
72 Si 0.8835 0.1478 0.3321  4 O 1.61-1.67
73 Si 0.8847 0.4832 0.6645  4 O 1.62-1.64
74 Si 0.9730 0.9831 0.1630  4 O 1.62-1.66
75 Si 0.9755 0.6487 0.8312  4 O 1.61-1.67
76 S 0.0298 0.9616 0.4969  4 O 1.46-1.52
77 S 0.0328 0.3372 0.1627  4 O 1.45-1.51
78 S 0.3234 0.0020 0.3325  4 O 1.46-1.50
79 S 0.3252 0.6657 0.9959  4 O 1.47-1.52
80 S 0.3883 0.6507 0.3314  4 O 1.47-1.53
81 S 0.3899 0.3191 0.9959  4 O 1.46-1.53
82 S 0.4713 0.1511 0.8313  4 O 1.46-1.52
83 S 0.4713 0.8174 0.4953  4 O 1.47-1.52
84 S 0.5322 0.4604 0.4956  4 O 1.47-1.50
85 S 0.5337 0.1671 0.4957  4 O 1.46-1.52
86 S 0.5345 0.5017 0.8329  4 O 1.46-1.50
87 S 0.8254 0.8364 0.6628  4 O 1.44-1.51
88 S 0.8281 0.4616 0.9972  4 O 1.46-1.52
89 S 0.8863 0.8132 0.9975  4 O 1.46-1.50
90 S 0.9706 0.3149 0.4972  4 O 1.46-1.52
91 O 0.9998 0.1446 0.6691  1 Si 1.64
92 O 0.0030 0.1581 0.9956  1 Si 1.66
93 O 0.0059 0.4942 0.3258  1 Si 1.65
94 O 0.0089 0.8078 0.3354  1 Si 1.65
95 O 0.0536 0.5677 0.1063  1 Si 1.58
96 O 0.0563 0.0604 0.8906  1 Si 1.66
97 O 0.0585 0.2382 0.7737  1 Si 1.64
98 O 0.0606 0.3869 0.2175  1 S 1.51
99 O 0.0630 0.9148 0.4422  1 S 1.49
100 O 0.0641 0.2356 0.4947  1 S 1.52
101 O 0.0678 0.3892 0.5027  1 S 1.48
102 O 0.0700 0.7261 0.5554  1 Si 1.66
103 O 0.0727 0.7330 0.8394  1 Si 1.61
104 O 0.0729 0.8957 0.1573  1 Si 1.66
105 O 0.0778 0.5635 0.8275  1 Si 1.64
106 O 0.0854 0.0621 0.1713  1 Si 1.63
107 O 0.0973 0.2503 0.1698  1 S 1.50
108 O 0.0965 0.3756 0.1117  1 S 1.45
109 O 0.0974 0.9066 0.8356  1 Si 1.61
110 O 0.0981 0.9190 0.5478  1 S 1.49
111 O 0.1004 0.2492 0.8871  1 Si 1.64
112 O 0.1000 0.7043 0.4376  1 Si 1.62
113 O 0.1017 0.3922 0.8278  1 Si 1.64
114 O 0.1037 0.0479 0.4941  1 S 1.52
115 O 0.1068 0.5708 0.5035  1 Si 1.65
116 O 0.1083 0.5858 0.2218  1 Si 1.67
117 O 0.1089 0.0486 0.7785  1 Si 1.63
118 O 0.1110 0.7209 0.1563  1 Si 1.67
119 O 0.2434 0.3787 0.6085  1 Si 1.62
120 O 0.2433 0.7205 0.6583  1 Si 1.65
121 O 0.2453 0.2477 0.3882  1 Si 1.66
122 O 0.2451 0.3886 0.3270  1 Si 1.65
123 O 0.2509 0.5878 0.7249  1 Si 1.64
124 O 0.2507 0.9184 0.0530  1 Si 1.67
125 O 0.2536 0.2415 0.6718  1 Si 1.63
126 O 0.2554 0.9187 0.3390  1 S 1.46
127 O 0.2571 0.0588 0.9916  1 Si 1.68
128 O 0.2583 0.0411 0.2792  1 S 1.50
129 O 0.2614 0.5808 0.0015  1 S 1.47
130 O 0.2662 0.7074 0.9440  1 S 1.47
131 O 0.2769 0.8987 0.6574  1 Si 1.64
132 O 0.2888 0.3897 0.0039  1 S 1.46
133 O 0.2895 0.0683 0.6734  1 Si 1.65
134 O 0.2904 0.7239 0.3359  1 S 1.47
135 O 0.2943 0.0583 0.3834  1 S 1.49
136 O 0.2938 0.9072 0.9373  1 Si 1.60
137 O 0.2948 0.2339 0.2767  1 Si 1.64
138 O 0.2945 0.5695 0.6107  1 Si 1.63
139 O 0.2947 0.5707 0.3271  1 S 1.53
140 O 0.2973 0.7185 0.0496  1 S 1.51
141 O 0.2980 0.3954 0.7210  1 Si 1.63
142 O 0.3051 0.2359 0.9923  1 S 1.53
143 O 0.3535 0.1347 0.1728  1 Si 1.64
144 O 0.3564 0.8247 0.1566  1 Si 1.65
145 O 0.3576 0.8032 0.8343  1 Si 1.61
146 O 0.3685 0.1599 0.4924  1 S 1.52
147 O 0.3712 0.4673 0.5031  1 S 1.49
148 O 0.3714 0.5003 0.1090  1 Si 1.60
149 O 0.3728 0.4659 0.2242  1 Si 1.68
150 O 0.3735 0.4983 0.8273  1 S 1.48
151 O 0.3773 0.8054 0.5489  1 S 1.52
152 O 0.3777 0.8288 0.4440  1 S 1.47
153 O 0.3804 0.1368 0.8840  1 S 1.49
154 O 0.3800 0.1587 0.7789  1 S 1.47
155 O 0.4763 0.6586 0.2778  1 S 1.48
156 O 0.4819 0.3297 0.9442  1 S 1.47
157 O 0.4820 0.6357 0.3826  1 S 1.48
158 O 0.4840 0.3047 0.0488  1 S 1.51
159 O 0.4850 0.9658 0.7240  1 Si 1.68
160 O 0.4847 0.9984 0.3280  1 S 1.48
161 O 0.4858 0.0005 0.6090  1 Si 1.60
162 O 0.4905 0.6589 0.9926  1 S 1.52
163 O 0.5004 0.3215 0.6554  1 Si 1.65
164 O 0.5007 0.3053 0.3381  1 Si 1.61
165 O 0.5039 0.6403 0.6719  1 Si 1.62
166 O 0.5057 0.9748 0.0027  1 Si 1.65
167 O 0.5540 0.8979 0.2206  1 Si 1.63
168 O 0.5569 0.0700 0.1098  1 Si 1.65
169 O 0.5583 0.7364 0.4921  1 S 1.51
170 O 0.5612 0.2199 0.5494  1 S 1.51
171 O 0.5611 0.4111 0.4429  1 S 1.47
172 O 0.5615 0.5570 0.8846  1 S 1.49
173 O 0.5635 0.0709 0.8274  1 S 1.52
174 O 0.5673 0.5687 0.1733  1 Si 1.65
175 O 0.5685 0.2244 0.8355  1 S 1.46
176 O 0.5693 0.7339 0.7768  1 Si 1.64
177 O 0.5702 0.8899 0.5029  1 S 1.47
178 O 0.5817 0.3997 0.1575  1 Si 1.64
179 O 0.5916 0.2105 0.4440  1 S 1.48
180 O 0.5965 0.5470 0.4932  1 S 1.49
181 O 0.5983 0.0827 0.5007  1 S 1.46
182 O 0.5979 0.4182 0.5478  1 S 1.50
183 O 0.6010 0.0863 0.2254  1 Si 1.63
184 O 0.6023 0.4184 0.8391  1 S 1.46
185 O 0.6019 0.5420 0.7807  1 S 1.50
186 O 0.6029 0.7409 0.1725  1 Si 1.62
187 O 0.6056 0.2231 0.1585  1 Si 1.63
188 O 0.6111 0.7479 0.8883  1 Si 1.66
189 O 0.6135 0.8785 0.1099  1 Si 1.62
190 O 0.6131 0.8890 0.8271  1 Si 1.65
191 O 0.7448 0.2023 0.9383  1 Si 1.62
192 O 0.7467 0.2208 0.6550  1 Si 1.68
193 O 0.7482 0.0867 0.7216  1 Si 1.67
194 O 0.7479 0.5447 0.2771  1 Si 1.63
195 O 0.7554 0.0714 0.0044  1 Si 1.66
196 O 0.7548 0.5480 0.9936  1 S 1.52
197 O 0.7557 0.4072 0.3388  1 Si 1.62
198 O 0.7558 0.8919 0.3272  1 Si 1.64
199 O 0.7579 0.7498 0.3873  1 Si 1.64
200 O 0.7602 0.4197 0.0480  1 S 1.48
201 O 0.7618 0.8742 0.6121  1 S 1.44
202 O 0.7639 0.7486 0.6703  1 S 1.51
203 O 0.7805 0.0632 0.3276  1 Si 1.64
204 O 0.7837 0.2298 0.0521  1 Si 1.63
205 O 0.7861 0.2323 0.3379  1 Si 1.61
206 O 0.7878 0.3968 0.6550  1 Si 1.64
207 O 0.7883 0.5689 0.6711  1 Si 1.62
208 O 0.7893 0.7365 0.9948  1 S 1.50
209 O 0.7950 0.4148 0.9423  1 S 1.49
210 O 0.7946 0.8907 0.0033  1 S 1.49
211 O 0.7969 0.5640 0.3883  1 Si 1.64
212 O 0.7987 0.7376 0.2737  1 Si 1.64
213 O 0.7985 0.8861 0.7177  1 S 1.51
214 O 0.8019 0.0671 0.6062  1 Si 1.58
215 O 0.8495 0.3076 0.8358  1 Si 1.66
216 O 0.8501 0.9958 0.8251  1 Si 1.65
217 O 0.8527 0.6596 0.4965  1 Si 1.68
218 O 0.8572 0.6442 0.1694  1 Si 1.65
219 O 0.8602 0.6299 0.8861  1 Si 1.67
220 O 0.8695 0.6609 0.7741  1 Si 1.65
221 O 0.8711 0.3285 0.1595  1 S 1.49
222 O 0.8711 0.9645 0.2202  1 Si 1.64
223 O 0.8716 0.9709 0.5023  1 S 1.46
224 O 0.8749 0.9951 0.1050  1 Si 1.62
225 O 0.8793 0.3046 0.5503  1 S 1.49
226 O 0.8818 0.3241 0.4448  1 S 1.46
227 O 0.9751 0.8239 0.9455  1 S 1.46
228 O 0.9760 0.8019 0.0510  1 S 1.49
229 O 0.9820 0.4627 0.7229  1 Si 1.64
230 O 0.9868 0.4707 0.0022  1 S 1.46
231 O 0.9878 0.8254 0.6598  1 S 1.50
232 O 0.9930 0.5002 0.6103  1 Si 1.62
233 O 0.9944 0.1605 0.2770  1 Si 1.64
234 O 0.9948 0.1292 0.3879  1 Si 1.67

Properties
Raw total energy   -1633.14 eV/cell

---

2.
Compound: SbSeI
Source: the Materials Project
Functional: PBE
Structure: optimized geometry

Lattice parameters (Å, degrees): 9.1637 4.1873 11.1005 90.00 90.00 90.00
Last column: nearest neighbours and their distance in Å.
Atoms (fractional coordinates):
1 Sb 0.0999 0.2500 0.1293  3 Se 2.64-2.84
2 Sb 0.4001 0.7500 0.6293  3 Se 2.64-2.84
3 Sb 0.5999 0.2500 0.3707  3 Se 2.64-2.84
4 Sb 0.9001 0.7500 0.8707  3 Se 2.64-2.84
5 Se 0.1653 0.7500 0.9646  3 Sb 2.64-2.84
6 Se 0.3347 0.2500 0.4646  3 Sb 2.64-2.84
7 Se 0.6653 0.7500 0.5354  3 Sb 2.64-2.84
8 Se 0.8347 0.2500 0.0354  3 Sb 2.64-2.84
9 I 0.0298 0.2500 0.6867  2 Sb 3.16
10 I 0.4702 0.7500 0.1867  2 Sb 3.16
11 I 0.5298 0.2500 0.8133  2 Sb 3.16
12 I 0.9702 0.7500 0.3133  2 Sb 3.16

Properties
Raw total energy   -40.41 eV/cell